# Na2Ti4Ga4Si3S9O48

A relaxed structure of Na2Ti4Ga4Si3S9O48 (GGA-PBE, the Materials Project database).

abc: 17.2167 8.5982 22.3357
angles: 89.81 90.20 120.01
Last column: nearest neighbours and their distance in Å.
Sites, in units of the cell vectors:
Na  0.9975  0.0033  0.5004  6 O 2.46-2.62
Na  0.4980  0.9926  0.0026  6 O 2.34-2.60
Na  0.3311  0.3287  0.8372  6 O 2.40-2.65
Na  0.8304  0.3317  0.8328  6 O 2.50-2.58
Na  0.3319  0.3294  0.3321  6 O 2.51-2.60
Na  0.8285  0.3296  0.3351  6 O 2.43-2.63
Ti  0.5134  0.0169  0.3560  2 O 1.77-1.78
Ti  0.0041  0.9982  0.8600  1 O 1.74
Ti  0.5080  0.0245  0.6446  3 O 1.76-1.96
Ti  0.0070  0.9889  0.1449  2 O 1.76-1.78
Ti  0.3401  0.3395  0.6846  1 O 1.74
Ti  0.8335  0.3339  0.6861  4 O 1.83-2.00
Ti  0.3359  0.3356  0.1882  6 O 1.84-2.04
Ti  0.8352  0.3330  0.1895  5 O 1.83-2.04
Ti  0.1619  0.6789  0.0251  3 O 1.77-1.96
Ti  0.6612  0.6653  0.0271  1 O 1.73
Ti  0.1615  0.6582  0.5240  1 O 1.75
Ti  0.6615  0.6466  0.5212  2 O 1.76-1.81
Ga  0.0019  0.0007  0.3482  3 O 1.81-1.98
Ga  0.5031  0.0050  0.8501  3 O 1.81-2.02
Ga  0.9978  0.0079  0.6476  5 O 1.85-2.04
Ga  0.5010  0.9811  0.1495  3 O 1.79-2.00
Ga  0.3312  0.3331  0.9826  4 O 1.81-2.02
Ga  0.8352  0.3396  0.9849  3 O 1.79-1.98
Ga  0.3361  0.3298  0.4810  2 O 1.80-2.00
Ga  0.8317  0.3276  0.4803  4 O 1.83-2.05
Ga  0.1682  0.6766  0.3095  4 O 1.80-2.01
Ga  0.6677  0.6648  0.3122  2 O 1.81-1.83
Ga  0.1692  0.6775  0.8162  4 O 1.81-2.03
Ga  0.6661  0.6573  0.8106  5 O 1.81-2.02
Si  0.1461  0.9991  0.2534  4 O 1.59-1.66
Si  0.6455  0.9912  0.2494  4 O 1.59-1.68
Si  0.6465  0.2943  0.7532  4 O 1.59-1.67
Si  0.4775  0.3340  0.5803  4 O 1.58-1.68
Si  0.9727  0.3240  0.5823  4 O 1.60-1.68
Si  0.4712  0.6224  0.0819  4 O 1.60-1.69
Si  0.9738  0.6159  0.0827  4 O 1.60-1.65
Si  0.1743  0.9632  0.9165  4 O 1.60-1.68
Si  0.6729  0.3848  0.4145  4 O 1.60-1.67
S  0.3548  0.7125  0.2513  4 O 1.47-1.51
S  0.8558  0.7136  0.2497  4 O 1.46-1.50
S  0.0018  0.2890  0.2508  4 O 1.46-1.51
S  0.5009  0.2859  0.2488  4 O 1.46-1.51
S  0.1444  0.2933  0.7511  4 O 1.48-1.49
S  0.0022  0.7154  0.7496  4 O 1.47-1.50
S  0.5003  0.7128  0.7509  4 O 1.46-1.53
S  0.3536  0.9951  0.7500  4 O 1.47-1.52
S  0.8554  0.9979  0.7512  4 O 1.47-1.50
S  0.1884  0.0457  0.5829  4 O 1.48-1.49
S  0.6891  0.0426  0.5828  4 O 1.46-1.50
S  0.3344  0.6228  0.5824  4 O 1.45-1.52
S  0.8350  0.6255  0.5832  4 O 1.47-1.49
S  0.3360  0.0459  0.0838  4 O 1.47-1.49
S  0.8346  0.0464  0.0829  4 O 1.45-1.50
S  0.1891  0.3351  0.0830  4 O 1.47-1.48
S  0.6880  0.3308  0.0824  4 O 1.46-1.50
S  0.3132  0.6704  0.9152  4 O 1.47-1.51
S  0.8096  0.6632  0.9166  4 O 1.46-1.50
S  0.0210  0.3786  0.9161  4 O 1.47-1.50
S  0.5225  0.3774  0.9165  4 O 1.47-1.49
S  0.6674  0.9559  0.9165  4 O 1.48-1.50
S  0.3102  0.9549  0.4167  4 O 1.46-1.51
S  0.8142  0.9570  0.4161  4 O 1.47-1.51
S  0.1672  0.3781  0.4165  4 O 1.47-1.50
S  0.0225  0.6676  0.4160  4 O 1.47-1.51
S  0.5198  0.6632  0.4167  4 O 1.47-1.50
O  0.1039  0.0451  0.3104  1 Si 1.61
O  0.5996  0.0348  0.3085  1 Si 1.68, 1 Ti 1.77
O  0.4114  0.7924  0.3045  1 S 1.47
O  0.9106  0.7863  0.3050  1 S 1.49
O  0.4821  0.1717  0.3033  1 S 1.49
O  0.9800  0.1761  0.3059  1 S 1.49
O  0.1025  0.1760  0.8046  1 S 1.49
O  0.6033  0.1618  0.8099  1 Si 1.61
O  0.4788  0.7821  0.8054  1 S 1.48
O  0.9860  0.7986  0.8033  1 S 1.50
O  0.4089  0.0335  0.8049  1 S 1.48
O  0.9131  0.0305  0.8042  1 S 1.48
O  0.3960  0.9695  0.6967  1 S 1.47
O  0.8936  0.9645  0.6967  1 S 1.48
O  0.0899  0.2128  0.6967  1 S 1.48
O  0.5832  0.1937  0.6933  1 Si 1.67, 1 Ti 1.76
O  0.0160  0.8257  0.6953  1 S 1.48
O  0.5116  0.8179  0.6969  1 S 1.46
O  0.3905  0.8201  0.1962  1 S 1.48
O  0.8982  0.8262  0.1966  1 S 1.47
O  0.0129  0.2059  0.1972  1 S 1.46
O  0.5121  0.2043  0.1944  1 S 1.47
O  0.0831  0.9725  0.1933  1 Si 1.66, 1 Ti 1.76
O  0.5859  0.9668  0.1919  1 Si 1.59
O  0.4293  0.3641  0.6410  1 Si 1.68, 1 Ti 1.74
O  0.9298  0.3649  0.6418  1 Si 1.64, 1 Ti 1.83
O  0.2450  0.1290  0.6370  1 S 1.49
O  0.7456  0.1290  0.6371  1 S 1.50
O  0.3156  0.5034  0.6368  1 S 1.52
O  0.8174  0.5113  0.6376  1 S 1.49
O  0.4293  0.4946  0.1410  1 Si 1.64
O  0.9276  0.4910  0.1414  1 Si 1.63
O  0.3168  0.1233  0.1371  1 S 1.48
O  0.8145  0.1236  0.1359  1 S 1.48
O  0.2457  0.3636  0.1366  1 S 1.48
O  0.7444  0.3632  0.1357  1 S 1.47
O  0.2245  0.2928  0.0292  1 S 1.47
O  0.7253  0.2943  0.0275  1 S 1.49
O  0.4149  0.5300  0.0223  1 Si 1.60
O  0.9165  0.5382  0.0228  1 Si 1.60
O  0.3504  0.1525  0.0289  1 S 1.48
O  0.8486  0.1540  0.0277  1 S 1.49
O  0.2253  0.1582  0.5288  1 S 1.48
O  0.7249  0.1579  0.5297  1 S 1.47
O  0.3484  0.5413  0.5287  1 S 1.47
O  0.8508  0.5477  0.5295  1 S 1.47
O  0.4135  0.2937  0.5246  1 Si 1.58
O  0.9142  0.2983  0.5237  1 Si 1.60
O  0.2726  0.6983  0.9687  1 S 1.47
O  0.7710  0.6947  0.9701  1 S 1.46
O  0.0768  0.4552  0.9696  1 S 1.47
O  0.5801  0.4617  0.9702  1 S 1.49
O  0.1517  0.8310  0.9748  1 Si 1.64, 1 Ti 1.80
O  0.6551  0.8444  0.9706  1 S 1.49
O  0.2677  0.8452  0.4711  1 S 1.49
O  0.7733  0.8485  0.4706  1 S 1.48
O  0.1550  0.4652  0.4711  1 S 1.50
O  0.6532  0.4745  0.4746  1 Si 1.67, 1 Ti 1.76
O  0.0798  0.6972  0.4706  1 S 1.51
O  0.5761  0.6954  0.4710  1 S 1.49
O  0.0631  0.6362  0.3629  1 S 1.47
O  0.5584  0.6289  0.3634  1 S 1.47
O  0.2532  0.8742  0.3630  1 S 1.48
O  0.7598  0.8797  0.3618  1 S 1.47
O  0.1821  0.4879  0.3625  1 S 1.47
O  0.6856  0.5062  0.3569  1 Si 1.60
O  0.0603  0.4877  0.8612  1 S 1.48
O  0.5627  0.4897  0.8624  1 S 1.48
O  0.1862  0.8746  0.8568  1 Si 1.60
O  0.6822  0.8766  0.8619  1 S 1.48
O  0.2578  0.6368  0.8600  1 S 1.49
O  0.7551  0.6352  0.8620  1 S 1.48
O  0.0140  0.8314  0.4119  1 S 1.49
O  0.5092  0.8225  0.4097  1 S 1.48
O  0.3985  0.9730  0.4090  1 S 1.46
O  0.9057  0.9742  0.4099  1 S 1.51
O  0.0849  0.1997  0.4130  1 S 1.48
O  0.5796  0.1895  0.4079  1 Si 1.65, 1 Ti 1.78
O  0.0114  0.1973  0.9070  1 S 1.50
O  0.5137  0.1960  0.9116  1 S 1.49
O  0.0815  0.9771  0.9047  1 Si 1.68, 1 Ti 1.74
O  0.5846  0.9691  0.9123  1 S 1.49
O  0.4044  0.8367  0.9080  1 S 1.51
O  0.9003  0.8252  0.9074  1 S 1.50
O  0.4856  0.1571  0.5936  1 Si 1.62, 1 Ti 1.78
O  0.9905  0.1573  0.5911  1 Si 1.62
O  0.0977  0.0195  0.5915  1 S 1.48
O  0.5983  0.0182  0.5929  1 S 1.49
O  0.4130  0.7968  0.5934  1 S 1.45
O  0.9169  0.8035  0.5920  1 S 1.49
O  0.4868  0.8224  0.0876  1 Si 1.61
O  0.9864  0.8147  0.0932  1 Si 1.63, 1 Ti 1.78
O  0.4164  0.0292  0.0921  1 S 1.47
O  0.9128  0.0280  0.0924  1 S 1.45
O  0.0981  0.1792  0.0924  1 S 1.48
O  0.5967  0.1787  0.0888  1 S 1.46
O  0.3430  0.1588  0.7422  1 S 1.52
O  0.8477  0.1628  0.7440  1 S 1.50
O  0.2343  0.3096  0.7439  1 S 1.49
O  0.7447  0.3110  0.7398  1 Si 1.65
O  0.4174  0.5270  0.7435  1 S 1.53
O  0.9194  0.5358  0.7443  1 S 1.49
O  0.3465  0.5308  0.2438  1 S 1.51
O  0.8472  0.5320  0.2428  1 S 1.50
O  0.4180  0.3034  0.2437  1 S 1.51
O  0.9201  0.3095  0.2442  1 S 1.51
O  0.2442  0.1784  0.2395  1 Si 1.65
O  0.7445  0.1768  0.2403  1 Si 1.66, 1 Ti 1.85
O  0.3235  0.5104  0.9203  1 S 1.48
O  0.8197  0.5011  0.9213  1 S 1.49
O  0.4331  0.3581  0.9222  1 S 1.47
O  0.9293  0.3535  0.9218  1 S 1.49
O  0.2575  0.1627  0.9260  1 Si 1.61
O  0.7483  0.1385  0.9236  1 S 1.50
O  0.3174  0.1363  0.4219  1 S 1.51
O  0.8244  0.1382  0.4217  1 S 1.48
O  0.2484  0.3589  0.4244  1 S 1.50
O  0.7578  0.3564  0.4256  1 Si 1.61
O  0.4279  0.5020  0.4233  1 S 1.50
O  0.9333  0.5075  0.4227  1 S 1.47
O  0.1821  0.4967  0.0739  1 S 1.47
O  0.6831  0.4983  0.0732  1 S 1.50
O  0.0736  0.6369  0.0747  1 Si 1.65, 1 Ti 1.77
O  0.5729  0.6415  0.0708  1 Si 1.69, 1 Ti 1.73
O  0.2560  0.8636  0.0759  1 S 1.49
O  0.7534  0.8653  0.0734  1 S 1.50
O  0.1824  0.8688  0.5750  1 S 1.48
O  0.6821  0.8679  0.5753  1 S 1.46
O  0.2532  0.6400  0.5748  1 S 1.49
O  0.7563  0.6491  0.5761  1 S 1.48
O  0.0741  0.5063  0.5704  1 Si 1.68, 1 Ti 1.75
O  0.5752  0.5129  0.5751  1 Si 1.62, 1 Ti 1.81
O  0.1544  0.8231  0.2582  1 Si 1.59
O  0.6570  0.8223  0.2635  1 Si 1.59
O  0.2638  0.6842  0.2593  1 S 1.47
O  0.7666  0.6929  0.2551  1 S 1.46
O  0.0817  0.4656  0.2594  1 S 1.47
O  0.5792  0.4649  0.2564  1 S 1.46
O  0.1539  0.4719  0.7601  1 S 1.48
O  0.6550  0.4872  0.7584  1 Si 1.59
O  0.0805  0.6918  0.7571  1 S 1.47
O  0.5798  0.6942  0.7590  1 S 1.47
O  0.2645  0.8343  0.7558  1 S 1.47
O  0.7651  0.8427  0.7592  1 S 1.47

## Properties
Energy ... -6.71 eV/atom
V ... 2863 Å³/cell
ΔE_f ... -15923 kJ/mol of formula units